Record 1
An optimized crystal structure of CoCu2B2O6, computed with PBE+U.

Structure (CIF):
```
data_CoCu2B2O6
_chemical_formula_sum 'Co4 Cu8 B8 O24'
_symmetry_space_group_name_H-M 'P 1 21/c 1'
_symmetry_Int_Tables_number 14
_cell_length_a 3.271
_cell_length_b 14.941
_cell_length_c 9.271
_cell_angle_alpha 90.00
_cell_angle_beta 94.51
_cell_angle_gamma 90.00
loop_
_symmetry_equiv_pos_as_xyz
'x,y,z'
'-x,-y,-z'
'-x,y+1/2,-z+1/2'
'x,-y+1/2,z+1/2'
loop_
_atom_site_label
_atom_site_fract_x
_atom_site_fract_y
_atom_site_fract_z
Co1 0.195 0.137 0.378
Cu1 0.311 0.543 0.363
Cu2 0.333 0.742 0.875
B1 0.137 0.580 0.835
B2 0.187 0.152 0.905
O1 0.015 0.651 0.736
O2 0.090 0.006 0.297
O3 0.231 0.233 0.970
O4 0.302 0.616 0.962
O5 0.320 0.073 0.964
O6 0.336 0.654 0.260
```

Properties
**Total magnetization**: 16.0 μB per cell
**Calculated formation energy**: -1.816 eV per atom
**Density**: 4.5 Mg/m³



Record 2
An optimized crystal structure of FeCoBO4, computed with PBE+U.

Structure (CIF):
```
data_FeCoBO4
_chemical_formula_sum 'Fe4 Co4 B4 O16'
_symmetry_space_group_name_H-M 'P n m a'
_symmetry_Int_Tables_number 62
_cell_length_a 9.391
_cell_length_b 3.147
_cell_length_c 9.514
_cell_angle_alpha 90.00
_cell_angle_beta 90.00
_cell_angle_gamma 90.00
loop_
_symmetry_equiv_pos_as_xyz
'x,y,z'
'-x,-y,-z'
'-x+1/2,-y,z+1/2'
'x+1/2,y,-z+1/2'
'x+1/2,-y+1/2,-z+1/2'
'-x+1/2,y+1/2,z+1/2'
'-x,y+1/2,-z'
'x,-y+1/2,z'
loop_
_atom_site_label
_atom_site_fract_x
_atom_site_fract_y
_atom_site_fract_z
Fe1 0.119 0.250 0.068
Co1 0.102 0.250 0.687
B1 0.166 0.250 0.372
O1 0.007 0.250 0.885
O2 0.022 0.250 0.371
O3 0.241 0.250 0.501
O4 0.243 0.250 0.245
```

Properties
**Total magnetization**: 32.0 μB per cell
**Calculated formation energy**: -1.988 eV per atom
**Density**: 4.5 Mg/m³



Record 3
An optimized crystal structure of FeCo2BO5, computed with PBE+U.

Structure (CIF):
```
data_FeCo2BO5
_chemical_formula_sum 'Fe4 Co8 B4 O20'
_symmetry_space_group_name_H-M 'P b a m'
_symmetry_Int_Tables_number 55
_cell_length_a 9.418
_cell_length_b 12.416
_cell_length_c 3.072
_cell_angle_alpha 90.00
_cell_angle_beta 90.00
_cell_angle_gamma 90.00
loop_
_symmetry_equiv_pos_as_xyz
'x,y,z'
'-x,-y,-z'
'-x,-y,z'
'x,y,-z'
'x+1/2,-y+1/2,-z'
'-x+1/2,y+1/2,z'
'-x+1/2,y+1/2,-z'
'x+1/2,-y+1/2,z'
loop_
_atom_site_label
_atom_site_fract_x
_atom_site_fract_y
_atom_site_fract_z
Fe1 0.240 0.115 0.000
Co1 0.000 0.000 0.500
Co2 0.000 0.500 0.000
Co3 0.001 0.720 0.500
B1 0.229 0.861 0.000
O1 0.108 0.143 0.500
O2 0.118 0.578 0.500
O3 0.124 0.360 0.000
O4 0.153 0.958 0.000
O5 0.155 0.764 0.000
```

Properties
**Total magnetization**: 36.0 μB per cell
**Calculated formation energy**: -1.756 eV per atom
**Density**: 4.9 Mg/m³



| no. | uncorrected energy (eV/atom) |
| --- | --- |
| 1 | -6.60 |
| 2 | -7.05 |
| 3 | -6.77 |